Record 1
## ZrMn6Ge6 (PBE)

Data for a geometry-optimized ZrMn6Ge6 structure.

Structure (extended XYZ):
```
13
Lattice="2.565 -4.443 0.000 2.565 4.443 0.000 0.000 0.000 8.131" Properties=species:S:1:pos:R:3 pbc="T T T"
Ge 2.565 -1.481 0.000
Ge 2.565 1.481 0.000
Ge 2.565 1.481 4.066
Ge 0.000 0.000 1.309
Ge 0.000 0.000 6.823
Ge 2.565 -1.481 4.066
Mn 1.282 2.221 6.096
Mn 2.565 0.000 6.096
Mn 1.282 -2.221 6.096
Mn 1.282 2.221 2.036
Mn 2.565 0.000 2.036
Mn 1.282 -2.221 2.036
Zr 0.000 0.000 4.066
```

Output
energy of formation from the pure elements: -0.315 eV/atom
calculated volume: 185 Å³/cell
crystal system: hexagonal

Record 2
## Ge23Mo13 (PBE)

Data for a geometry-optimized Ge23Mo13 structure.

Structure (extended XYZ):
```
144
Lattice="-0.619 -2.092 -5.625 -1.040 -5.531 2.171 -62.827 12.678 2.195" Properties=species:S:1:pos:R:3 pbc="T T T"
Ge -33.178 1.229 1.476
Ge -28.330 3.900 -0.598
Ge -59.120 6.688 -0.282
Ge -32.741 4.115 -2.684
Ge -48.402 3.481 -0.241
Ge -22.053 -0.214 1.530
Ge -51.800 7.871 -2.245
Ge -56.767 4.914 -1.088
Ge -44.963 6.623 1.208
Ge -62.757 9.874 -0.978
Ge -46.521 6.505 -2.792
Ge -38.598 2.251 1.168
Ge -21.957 1.137 -3.503
Ge -11.072 -2.065 0.341
Ge -31.987 0.353 -2.110
Ge -35.690 3.067 1.611
Ge -14.955 0.377 -0.750
Ge -20.876 -1.129 -1.975
Ge -50.171 8.054 1.557
Ge -35.772 3.396 -2.625
Ge -15.506 -2.188 -1.697
Ge -57.806 6.073 1.958
Ge -2.868 -2.489 -4.260
Ge -11.063 -1.426 -3.079
Ge -63.123 7.570 1.865
Ge -37.605 0.920 -1.663
Ge -34.064 4.410 -0.160
Ge -53.767 5.126 -0.203
Ge -16.492 -0.815 1.082
Ge -49.206 6.434 -1.345
Ge -41.064 3.843 2.117
Ge -9.254 -0.149 -1.192
Ge -29.179 -0.252 -0.903
Ge -22.932 3.137 -0.482
Ge -10.031 -3.918 -1.645
Ge -49.305 5.487 1.277
Ge -7.325 -4.239 -3.093
Ge -8.087 -1.023 -3.977
Ge -39.400 5.249 0.370
Ge -43.001 2.129 -0.942
Ge -38.099 5.269 -1.999
Ge -27.592 0.362 1.838
Ge -60.196 8.434 -2.015
Ge -4.794 -5.422 -1.865
Ge -8.432 -3.601 1.043
Ge -5.704 -3.423 -0.321
Ge -54.863 7.323 -1.762
Ge -31.066 4.413 0.803
Ge -52.187 5.155 2.368
Ge -47.497 7.913 0.081
Ge -57.295 9.196 -1.447
Ge -1.866 -5.053 -2.866
Ge -3.841 -0.793 -1.344
Ge -41.960 7.057 0.400
Ge -58.591 9.108 0.884
Ge -60.140 7.891 2.709
Ge -55.686 9.820 1.506
Ge -20.284 1.477 -0.098
Ge -60.982 10.989 1.287
Ge -62.074 5.885 -0.498
Ge -3.047 -4.275 0.956
Ge -6.545 -0.920 0.067
Ge -23.928 -1.639 -1.392
Ge -44.047 3.952 1.113
Ge -45.649 3.704 -1.553
Ge -41.048 4.769 -2.759
Ge -18.957 1.255 -2.583
Ge -16.580 -0.469 -3.438
Ge -27.293 2.755 -3.432
Ge -53.070 8.475 0.425
Ge -14.136 -2.703 0.600
Ge -12.995 -3.711 -2.687
Ge -24.917 0.295 0.362
Ge -51.015 4.407 -1.533
Ge -30.143 1.701 0.781
Ge -26.502 -0.247 -2.370
Ge -36.481 6.073 0.741
Ge -30.086 2.496 -2.188
Ge -54.823 6.853 2.084
Ge -5.556 -2.263 -2.796
Ge -46.767 4.362 2.541
Ge -18.406 -2.986 -2.206
Ge -34.678 1.504 -0.949
Ge -19.403 -1.472 0.412
Ge -39.945 2.805 -1.109
Ge -24.709 1.762 -2.139
Ge -43.765 5.810 -1.556
Ge -25.773 2.838 0.685
Ge -11.990 0.795 0.049
Ge -13.650 0.352 -3.140
Ge -1.225 -2.281 -0.537
Ge -17.278 2.230 -0.058
Mo -28.209 2.822 2.053
Mo -38.559 7.781 1.347
Mo -41.875 4.471 -0.292
Mo -61.150 8.361 0.381
Mo -37.113 3.510 -0.459
Mo -11.202 1.152 -2.432
Mo -7.975 -2.370 -1.477
Mo -42.826 5.771 2.564
Mo -16.016 2.124 -2.263
Mo -47.640 6.743 2.732
Mo -14.591 2.944 0.510
Mo -17.652 -0.417 -1.139
Mo -52.454 7.714 2.900
Mo -57.956 11.695 2.025
Mo -27.372 1.545 -0.799
Mo -18.546 0.872 1.716
Mo -23.553 1.882 1.891
Mo -54.755 9.941 -0.910
Mo 0.000 0.000 0.000
Mo -28.908 5.833 1.010
Mo -33.190 3.827 2.227
Mo -51.509 6.415 0.044
Mo -49.748 8.931 -1.085
Mo -62.090 9.659 3.237
Mo -35.448 6.045 -1.584
Mo -8.901 -1.075 1.379
Mo -57.376 8.708 3.072
Mo -20.830 3.095 -2.095
Mo -1.566 -0.792 -2.768
Mo -24.267 4.897 0.848
Mo -32.243 2.528 -0.629
Mo -45.111 7.995 -1.247
Mo -19.267 3.888 0.673
Mo -12.976 -1.360 -1.302
Mo -25.752 4.088 -1.923
Mo -4.870 0.983 0.170
Mo -33.919 6.845 1.185
Mo -13.908 -0.064 1.554
Mo -37.904 4.778 2.392
Mo -53.194 10.734 1.859
Mo -48.236 9.734 1.685
Mo -43.560 8.790 1.522
Mo -46.834 5.472 -0.119
Mo -40.103 6.984 -1.422
Mo -9.632 1.944 0.337
Mo -30.466 5.040 -1.759
Mo -59.411 10.881 -0.747
Mo -3.335 -3.306 -1.639
Mo -6.280 0.159 -2.604
Mo -4.245 -2.014 1.216
Mo -56.510 7.425 0.219
Mo -22.611 0.584 -0.965
```

Output
energy of formation from the pure elements: -0.128 eV/atom
calculated volume: 2334 Å³/cell
crystal system: tetragonal

Record 3
## Ge2Mo (PBE)

Data for a geometry-optimized Ge2Mo structure.

Structure (extended XYZ):
```
12
Lattice="3.486 0.000 0.000 0.000 6.404 0.000 0.000 0.000 8.647" Properties=species:S:1:pos:R:3 pbc="T T T"
Mo 2.614 1.604 2.843
Mo 2.614 4.807 1.480
Mo 0.871 4.800 5.803
Mo 0.871 1.598 7.167
Ge 0.871 5.533 8.293
Ge 2.614 0.390 5.472
Ge 0.871 2.812 1.148
Ge 0.871 2.331 4.677
Ge 2.614 3.592 7.498
Ge 0.871 6.014 3.175
Ge 2.614 0.871 0.353
Ge 2.614 4.073 3.970
```

Output
energy of formation from the pure elements: -0.166 eV/atom
calculated volume: 193 Å³/cell
crystal system: orthorhombic

Record 4
## Ge2Mo (PBE)

Data for a geometry-optimized Ge2Mo structure.

Structure (extended XYZ):
```
3
Lattice="3.345 0.000 0.000 0.000 3.345 0.000 -1.672 -1.672 4.140" Properties=species:S:1:pos:R:3 pbc="T T T"
Ge 1.672 1.672 1.336
Ge 0.000 0.000 2.804
Mo 0.000 0.000 0.000
```

Output
energy of formation from the pure elements: -0.146 eV/atom
calculated volume: 46 Å³/cell
crystal system: tetragonal

Record 5
## NiGeMo (PBE)

Data for a geometry-optimized NiGeMo structure.

Structure (extended XYZ):
```
12
Lattice="0.791 0.792 -4.838 -3.657 2.472 2.276 4.789 5.531 1.689" Properties=species:S:1:pos:R:3 pbc="T T T"
Mo 0.873 3.146 -1.932
Mo -1.275 2.934 0.201
Mo 2.550 5.082 -1.341
Mo 1.737 6.413 1.263
Ge -1.753 2.288 -2.524
Ge 0.035 1.077 -3.629
Ge -0.524 4.959 1.940
Ge -0.346 0.686 -1.266
Ni 1.253 3.763 0.816
Ni -0.025 6.659 3.547
Ni -0.125 5.332 -0.416
Ni -2.490 3.812 2.678
```

Output
energy of formation from the pure elements: 0.024 eV/atom
calculated volume: 162 Å³/cell
crystal system: orthorhombic

Record 6
## NiGeMo (PBE)

Data for a geometry-optimized NiGeMo structure.

Structure (extended XYZ):
```
12
Lattice="-4.466 0.399 1.798 2.486 -3.958 1.220 2.864 3.736 6.283" Properties=species:S:1:pos:R:3 pbc="T T T"
Mo -0.132 1.447 5.875
Mo 0.679 -1.763 2.622
Mo -1.166 0.099 3.608
Mo 2.443 0.539 6.493
Ge -2.270 3.030 6.340
Ge -1.219 -0.471 0.836
Ge -2.180 -2.198 2.301
Ge -3.556 1.353 3.519
Ni -3.448 -0.239 1.714
Ni 0.620 -1.129 5.294
Ni 1.532 0.512 3.902
Ni 2.758 -1.362 4.458
```

Output
energy of formation from the pure elements: -0.026 eV/atom
calculated volume: 164 Å³/cell
crystal system: orthorhombic

Record 7
## Sc2Ge4Mo3 (PBE)

Data for a geometry-optimized Sc2Ge4Mo3 structure.

Structure (extended XYZ):
```
36
Lattice="-1.210 5.489 3.710 1.232 -3.631 5.775 12.489 3.195 -0.656" Properties=species:S:1:pos:R:3 pbc="T T T"
Ge 0.921 0.377 8.033
Ge 6.050 1.690 7.763
Ge 3.241 1.479 5.416
Ge 11.591 4.676 0.796
Ge 4.161 -2.194 5.037
Ge 9.936 1.084 3.952
Ge 6.137 0.474 3.478
Ge 6.462 3.363 1.065
Ge 11.505 5.892 5.081
Ge 6.376 4.579 5.351
Ge 9.583 3.087 6.987
Ge 2.929 1.966 1.842
Ge 8.351 7.246 3.792
Ge 9.271 3.574 3.412
Ge 2.576 3.969 4.876
Ge 1.007 -0.839 3.747
Mo 10.198 0.584 6.512
Mo 8.031 1.667 2.152
Mo 3.534 -0.091 3.349
Mo 5.304 -0.002 5.845
Mo 7.208 5.055 2.984
Mo 2.193 -0.798 6.008
Mo 10.319 5.851 2.820
Mo 2.314 4.469 2.317
Mo 8.978 5.144 5.480
Mo 4.481 3.386 6.677
Mo 1.370 2.590 6.840
Mo 11.142 2.463 1.988
Sc 7.218 4.324 8.055
Sc 7.635 2.135 5.318
Sc 0.937 1.910 3.717
Sc 11.158 5.332 7.849
Sc 1.354 -0.279 0.980
Sc 5.294 0.729 0.773
Sc 11.575 3.143 5.111
Sc 4.877 2.918 3.510
```

Output
energy of formation from the pure elements: -0.543 eV/atom
calculated volume: 603 Å³/cell
crystal system: orthorhombic

Record 8
## Sc3Ge4Mo2 (PBE)

Data for a geometry-optimized Sc3Ge4Mo2 structure.

Structure (extended XYZ):
```
36
Lattice="-4.962 2.486 -3.913 -4.757 -3.047 4.097 -0.487 10.931 7.563" Properties=species:S:1:pos:R:3 pbc="T T T"
Mo -4.030 4.637 2.511
Mo -5.894 6.275 0.023
Mo -6.176 5.733 5.236
Mo -3.879 1.250 0.168
Mo -5.743 2.888 -2.320
Mo -6.327 9.120 7.579
Mo -4.312 4.095 7.724
Mo -4.463 7.482 10.067
Sc -6.546 3.254 0.724
Sc -7.328 3.162 3.797
Sc -8.489 6.855 7.089
Sc -7.203 0.366 1.862
Sc -3.890 -0.344 3.102
Sc -3.660 7.116 7.023
Sc -3.003 10.004 5.884
Sc -6.316 10.714 4.645
Sc -6.192 7.918 2.710
Sc -4.015 2.453 5.037
Sc -1.717 3.515 0.658
Sc -2.878 7.208 3.950
Ge -7.556 8.253 5.129
Ge -6.270 2.764 6.318
Ge -5.176 2.033 2.576
Ge -9.130 2.333 1.888
Ge -6.067 -1.786 3.169
Ge -3.762 9.566 8.345
Ge -1.076 8.037 5.859
Ge -5.030 8.337 5.171
Ge -5.995 6.421 7.878
Ge -6.648 5.355 2.550
Ge -3.936 7.606 1.429
Ge -4.139 12.156 4.578
Ge -2.650 2.117 2.618
Ge -4.211 3.949 -0.131
Ge -3.559 5.015 5.197
Ge -6.445 0.804 -0.599
```

Output
energy of formation from the pure elements: -0.365 eV/atom
calculated volume: 630 Å³/cell
crystal system: orthorhombic

Record 9
## Ge4Mo9W3 (PBE)

Data for a geometry-optimized Ge4Mo9W3 structure.

Structure (extended XYZ):
```
16
Lattice="-1.872 4.409 -1.335 -3.693 -2.302 -2.423 -5.541 0.159 8.291" Properties=species:S:1:pos:R:3 pbc="T T T"
Mo -4.627 1.220 5.887
Mo -5.563 3.426 5.219
Mo -9.245 0.638 5.804
Mo -5.309 -1.051 3.970
Mo -4.629 1.708 2.869
Mo -2.791 3.348 1.071
Mo -2.538 -1.130 -0.174
Mo -6.474 0.558 1.659
Mo -1.854 1.140 1.740
W -7.400 1.787 7.014
W -6.693 -1.010 6.044
W -3.925 -1.091 1.898
Ge -3.693 -2.301 -2.421
Ge -4.167 1.093 0.192
Ge -6.464 -2.222 1.723
Ge -6.938 1.173 4.337
```

Output
energy of formation from the pure elements: -0.068 eV/atom
calculated volume: 247 Å³/cell
crystal system: monoclinic

Record 10
## Zr3GeMo8 (PBE)

Data for a geometry-optimized Zr3GeMo8 structure.

Structure (extended XYZ):
```
12
Lattice="8.828 -2.678 0.000 8.828 2.678 0.000 8.015 0.000 4.568" Properties=species:S:1:pos:R:3 pbc="T T T"
Mo 5.984 -1.333 0.283
Mo 8.009 0.000 1.425
Mo 20.870 0.000 3.713
Mo 10.460 0.000 0.296
Mo 10.055 1.335 2.572
Mo 5.984 1.333 0.283
Mo 10.055 -1.335 2.572
Mo 5.579 0.000 2.556
Ge 3.214 0.000 0.572
Zr 0.044 0.000 0.008
Zr 16.048 0.000 2.855
Zr 12.801 0.000 2.278
```

Output
energy of formation from the pure elements: -0.008 eV/atom
calculated volume: 216 Å³/cell
crystal system: trigonal

Record 11
## ZrGeMo (PBE)

Data for a geometry-optimized ZrGeMo structure.

Structure (extended XYZ):
```
12
Lattice="1.671 2.396 2.097 -5.575 0.083 4.350 3.369 -6.232 4.437" Properties=species:S:1:pos:R:3 pbc="T T T"
Mo -1.602 -2.091 5.208
Mo -0.094 0.235 1.348
Mo 1.067 -1.662 5.675
Mo -0.441 -3.989 9.536
Ge 2.772 -3.545 6.467
Ge -0.760 -2.127 7.662
Ge -3.307 -0.208 4.416
Ge 0.225 -1.626 3.222
Zr 0.175 -4.542 6.594
Zr -0.709 0.789 4.289
Zr -2.943 -0.195 7.194
Zr 2.408 -3.559 3.689
```

Output
energy of formation from the pure elements: -0.592 eV/atom
calculated volume: 213 Å³/cell
crystal system: orthorhombic

Record 12
## Ge3N2 (PBE)

Data for a geometry-optimized Ge3N2 structure.

Structure (extended XYZ):
```
20
Lattice="-6.310 -3.182 0.539 2.532 -4.149 5.159 -2.000 4.785 4.830" Properties=species:S:1:pos:R:3 pbc="T T T"
Ge -4.917 -0.606 1.926
Ge 0.172 0.206 3.229
Ge -2.557 -4.961 3.856
Ge -3.452 -3.494 2.032
Ge 1.067 -1.260 5.053
Ge -5.624 1.085 3.633
Ge -0.535 1.897 4.936
Ge -3.394 2.210 3.443
Ge -2.687 0.518 1.736
Ge -1.221 -2.370 1.842
Ge 0.360 0.431 6.760
Ge -0.327 -3.836 3.665
N -5.900 0.325 5.322
N -1.285 -0.566 2.341
N -4.494 -1.979 8.187
N -0.990 -0.212 7.888
N 0.121 -2.870 5.205
N -2.396 2.092 5.023
N -3.383 -4.636 5.505
N -4.789 -2.333 2.640
```

Output
energy of formation from the pure elements: 0.009 eV/atom
calculated volume: 356 Å³/cell
crystal system: cubic

Q: calculated volume of number 8 (Sc3Ge4Mo2)?
A: 630 Å³/cell